Entry 1:
! TmTlMo2O8 | the Materials Project database | PBE+U | relaxed; values from VASP
&SYSTEM
  ibrav = 0, nat = 48, ntyp = 4
/
ATOMIC_SPECIES
Tm 168.93 Tm.upf
Tl 204.38 Tl.upf
Mo 95.94 Mo.upf
O 16.00 O.upf
CELL_PARAMETERS angstrom
0.999 5.768 1.677
14.155 -3.768 4.527
3.152 1.868 -8.303
ATOMIC_POSITIONS angstrom
Tm 15.592 2.257 -0.469
Tm 2.715 1.611 -1.631
Tm 9.447 -0.478 1.543
Tm 8.860 4.346 -3.643
Tl 11.353 3.009 -0.530
Tl 6.953 0.859 -1.569
Tl 12.809 -1.749 3.912
Tl 5.498 5.617 -6.011
Mo 15.236 1.235 3.259
Mo 3.071 2.633 -5.359
Mo 10.353 0.871 -3.636
Mo 7.953 2.997 1.537
Mo 14.026 3.487 -3.767
Mo 4.280 0.381 1.668
Mo 12.907 -0.586 -0.148
Mo 5.400 4.453 -1.951
O 13.515 1.523 3.294
O 4.792 2.345 -5.394
O 11.678 0.348 -2.627
O 6.629 3.520 0.528
O 15.890 1.596 1.628
O 2.417 2.272 -3.727
O 10.946 1.248 -5.288
O 7.361 2.620 3.188
O 12.498 3.505 -2.917
O 5.809 0.363 0.818
O 13.528 -1.140 1.389
O 4.778 5.008 -3.489
O 15.258 2.921 -2.556
O 3.049 0.946 0.456
O 11.121 -0.348 0.098
O 7.185 4.216 -2.198
O 13.283 -1.893 -1.354
O 5.023 5.761 -0.746
O 11.167 3.324 3.976
O 4.528 2.903 -1.576
O 7.139 0.544 -6.076
O 13.778 0.965 -0.523
O 7.634 3.402 -5.245
O 10.672 0.466 3.145
O 16.879 0.603 -1.287
O 1.427 3.265 -0.812
O 8.753 1.528 0.796
O 1.908 6.039 -0.006
O 9.553 2.340 -2.895
O 16.399 -2.171 -2.094
O 9.073 -0.434 -3.702
O 9.234 4.302 1.602
! Calculated total energy   -7.07 eV/atom
! Energy with MP2020 corrections   -8.065 eV/atom

Entry 2:
! UMo2O12 | the Materials Project database | PBE+U | relaxed; values from VASP
&SYSTEM
  ibrav = 0, nat = 60, ntyp = 3
/
ATOMIC_SPECIES
U 238.03 U.upf
Mo 95.94 Mo.upf
O 16.00 O.upf
CELL_PARAMETERS angstrom
6.694 0.000 0.000
0.000 11.592 0.000
0.000 0.000 13.540
ATOMIC_POSITIONS angstrom
U 4.642 8.694 13.513
U 2.052 2.898 0.027
U 4.642 2.898 6.797
U 2.052 8.694 6.743
Mo 1.107 6.865 0.578
Mo 5.587 1.069 12.962
Mo 1.107 4.727 6.192
Mo 5.587 10.524 7.348
Mo 5.587 4.727 12.962
Mo 1.107 10.524 0.578
Mo 5.587 6.865 7.348
Mo 1.107 1.069 6.192
O 4.612 8.694 1.772
O 2.082 2.898 11.768
O 4.612 2.898 4.998
O 2.082 8.694 8.542
O 4.732 8.694 11.722
O 1.962 2.898 1.818
O 4.732 2.898 8.588
O 1.962 8.694 4.952
O 2.757 7.253 0.022
O 3.937 1.457 13.518
O 2.757 4.339 6.748
O 3.937 10.135 6.792
O 3.937 4.339 13.518
O 2.757 10.135 0.022
O 3.937 7.253 6.792
O 2.757 1.457 6.748
O 0.956 5.030 13.512
O 5.738 10.826 0.028
O 0.956 6.562 6.798
O 5.738 0.766 6.742
O 5.738 6.562 0.028
O 0.956 0.766 13.512
O 5.738 5.030 6.742
O 0.956 10.826 6.798
O 0.426 8.694 0.195
O 6.268 2.898 13.345
O 0.426 2.898 6.575
O 6.268 8.694 6.965
O 1.433 6.576 10.928
O 5.261 0.780 2.612
O 1.433 5.016 9.382
O 5.261 10.812 4.158
O 5.261 5.016 2.612
O 1.433 10.812 10.928
O 5.261 6.576 4.158
O 1.433 0.780 9.382
O 1.223 6.813 2.277
O 5.471 1.016 11.263
O 1.223 4.780 4.493
O 5.471 10.576 9.047
O 5.471 4.780 11.263
O 1.223 10.576 2.277
O 5.471 6.813 9.047
O 1.223 1.016 4.493
O 2.097 5.796 10.155
O 4.597 0.000 3.385
O 4.597 5.796 3.385
O 2.097 0.000 10.155
! Calculated total energy   -7.18 eV/atom
! Energy with MP2020 corrections   -7.610 eV/atom

Entry 3:
! U2MoO8 | the Materials Project database | PBE+U | relaxed; values from VASP
&SYSTEM
  ibrav = 0, nat = 44, ntyp = 3
/
ATOMIC_SPECIES
U 238.03 U.upf
Mo 95.94 Mo.upf
O 16.00 O.upf
CELL_PARAMETERS angstrom
4.142 0.000 0.000
0.024 6.665 0.000
0.021 0.052 23.739
ATOMIC_POSITIONS angstrom
U 0.043 5.389 2.858
U 0.037 1.140 16.942
U 0.030 2.243 5.067
U 0.064 2.062 9.006
U 0.048 5.574 6.793
U 0.076 4.656 14.733
U 4.158 4.478 18.673
U 4.144 1.329 20.881
Mo 3.841 1.131 13.011
Mo 3.782 2.250 1.139
Mo 0.408 4.472 22.602
Mo 3.855 5.583 10.726
O 0.029 1.092 6.936
O 0.071 3.042 13.498
O 4.172 6.379 22.114
O 2.104 1.221 12.952
O 4.169 6.475 19.277
O 0.041 5.626 16.803
O 4.161 2.300 18.808
O 2.087 4.467 18.627
O 0.080 0.583 14.870
O 2.070 1.420 20.844
O 2.044 2.157 1.085
O 4.120 4.266 0.863
O 0.052 5.774 12.741
O 0.044 3.583 7.409
O 2.108 1.134 16.986
O 2.117 5.298 2.896
O 2.148 4.749 14.767
O 0.036 3.137 16.329
O 4.150 3.917 20.744
O 0.063 3.673 10.247
O 2.100 2.250 5.113
O 2.143 4.563 22.653
O 0.031 4.418 4.931
O 2.136 1.970 8.971
O 0.023 0.241 4.465
O 0.035 0.938 10.997
O 0.015 0.340 1.629
O 0.037 2.801 2.997
O 2.115 5.496 10.787
O 0.069 2.454 22.878
O 0.082 6.129 8.864
O 2.118 5.587 6.751
! Calculated total energy   -8.96 eV/atom
! Energy with MP2020 corrections   -9.753 eV/atom

Entry 4:
! U2MoO8 | the Materials Project database | PBE+U | relaxed; values from VASP
&SYSTEM
  ibrav = 0, nat = 44, ntyp = 3
/
ATOMIC_SPECIES
U 238.03 U.upf
Mo 95.94 Mo.upf
O 16.00 O.upf
CELL_PARAMETERS angstrom
23.840 0.000 0.000
0.000 4.150 0.000
0.000 0.057 6.651
ATOMIC_POSITIONS angstrom
U 20.972 2.085 4.630
U 6.847 2.100 2.210
U 18.767 2.078 1.115
U 14.788 2.056 1.305
U 16.992 2.107 4.440
U 9.052 2.151 5.346
U 5.072 2.129 5.536
U 2.868 2.122 2.021
Mo 10.784 1.737 2.222
Mo 22.704 2.442 1.103
Mo 1.135 1.765 5.547
Mo 13.055 2.471 4.429
O 16.885 2.086 2.274
O 10.287 2.110 0.309
O 1.633 2.138 3.635
O 10.847 4.144 2.118
O 4.463 2.111 3.552
O 6.954 2.122 4.376
O 4.965 2.093 1.051
O 5.122 0.052 5.550
O 8.923 2.136 2.776
O 2.916 0.036 1.933
O 22.767 0.035 1.208
O 22.972 2.158 5.735
O 11.052 2.078 4.241
O 16.383 2.125 6.423
O 6.797 0.024 2.225
O 20.924 4.171 4.718
O 9.004 0.064 5.258
O 7.457 2.082 0.227
O 2.997 2.165 6.101
O 13.553 2.097 6.341
O 18.717 4.155 1.101
O 1.073 4.172 5.443
O 18.874 2.114 5.600
O 14.835 4.143 1.393
O 19.377 2.097 3.098
O 12.787 2.129 2.409
O 22.207 2.069 3.016
O 20.842 2.042 0.550
O 12.992 0.063 4.533
O 0.868 2.049 0.916
O 14.917 2.071 3.875
O 17.042 4.183 4.426
! Calculated total energy   -8.96 eV/atom
! Energy with MP2020 corrections   -9.753 eV/atom